# 1
A geometry-optimized PdN2 structure, computed with PBE.

Output
**Energy of formation**: 0.096 eV/atom

a = 4.7451 Å, b = 4.7451 Å, c = 4.7451 Å
α = 143.58°, β = 116.00°, γ = 75.93°
Element x y z (fractional)
Pd (0.0000, 0.0000, 0.0000)
N (0.3867, 0.0000, 0.3867)
N (0.6133, 0.0000, 0.6133)

=====

# 2
A geometry-optimized PdN structure, computed with PBE.

Output
**Energy of formation**: 1.185 eV/atom
**Distance to the lowest polymorph of the same formula**: 1.04 eV/f.u.

a = 3.4177 Å, b = 3.4177 Å, c = 9.0401 Å
α = 90.00°, β = 90.00°, γ = 122.16°
Element x y z (fractional)
Pd (0.1684, 0.8316, 0.7500)
Pd (0.8316, 0.1684, 0.2500)
N (0.1686, 0.8314, 0.2500)
N (0.8314, 0.1686, 0.7500)

=====

# 3
A geometry-optimized PdN structure, computed with PBE.

Output
**Energy of formation**: 0.952 eV/atom
**Distance to the lowest polymorph of the same formula**: 0.58 eV/f.u.

a = 3.1414 Å, b = 3.1414 Å, c = 3.1414 Å
α = 60.00°, β = 60.00°, γ = 60.00°
Element x y z (fractional)
Pd (0.0000, 0.0000, 0.0000)
N (0.5000, 0.5000, 0.5000)

=====

# 4
A geometry-optimized PdN2 structure, computed with PBE.

Output
**Energy of formation**: 0.237 eV/atom

a = 5.1366 Å, b = 5.1366 Å, c = 5.1366 Å
α = 90.00°, β = 90.00°, γ = 90.00°
Element x y z (fractional)
Pd (0.0000, 0.0000, 0.0000)
Pd (0.0000, 0.5000, 0.5000)
Pd (0.5000, 0.0000, 0.5000)
Pd (0.5000, 0.5000, 0.0000)
N (0.0682, 0.5682, 0.9318)
N (0.0682, 0.9318, 0.4318)
N (0.4318, 0.0682, 0.9318)
N (0.4318, 0.4318, 0.4318)
N (0.5682, 0.5682, 0.5682)
N (0.5682, 0.9318, 0.0682)
N (0.9318, 0.0682, 0.5682)
N (0.9318, 0.4318, 0.0682)

=====

# 5
A geometry-optimized PdN structure, computed with PBE.

Output
**Energy of formation**: 1.334 eV/atom
**Distance to the lowest polymorph of the same formula**: 1.34 eV/f.u.

a = 2.7783 Å, b = 2.7783 Å, c = 2.7783 Å
α = 90.00°, β = 90.00°, γ = 90.00°
Element x y z (fractional)
Pd (0.0000, 0.0000, 0.0000)
N (0.5000, 0.5000, 0.5000)

=====

# 6
A geometry-optimized PdN structure, computed with PBE.

Output
**Energy of formation**: 0.894 eV/atom
**Distance to the lowest polymorph of the same formula**: 0.46 eV/f.u.

a = 3.0356 Å, b = 3.0356 Å, c = 5.4816 Å
α = 90.00°, β = 90.00°, γ = 120.00°
Element x y z (fractional)
Pd (0.0000, 0.0000, 0.0000)
Pd (0.0000, 0.0000, 0.5000)
N (0.3333, 0.6667, 0.2500)
N (0.6667, 0.3333, 0.7500)

=====

# 7
A geometry-optimized PdS6N2 structure, computed with PBE.

Output
**Energy of formation**: 0.071 eV/atom

a = 13.1248 Å, b = 9.5254 Å, c = 8.5513 Å
α = 90.00°, β = 96.49°, γ = 90.00°
Element x y z (fractional)
Pd (0.2454, 0.0663, 0.1769)
Pd (0.2454, 0.4337, 0.6769)
Pd (0.7546, 0.5663, 0.3231)
Pd (0.7546, 0.9337, 0.8231)
S (0.0736, 0.1349, 0.1374)
S (0.0736, 0.3651, 0.6374)
S (0.0821, 0.1523, 0.6419)
S (0.0821, 0.3477, 0.1419)
S (0.1941, 0.6678, 0.6630)
S (0.1941, 0.8322, 0.1630)
S (0.2965, 0.2040, 0.6892)
S (0.2965, 0.2960, 0.1892)
S (0.3286, 0.7258, 0.2005)
S (0.3286, 0.7742, 0.7005)
S (0.4141, 0.9998, 0.2201)
S (0.4141, 0.5002, 0.7201)
S (0.5859, 0.0002, 0.7799)
S (0.5859, 0.4998, 0.2799)
S (0.6714, 0.2258, 0.2995)
S (0.6714, 0.2742, 0.7995)
S (0.7035, 0.7040, 0.8108)
S (0.7035, 0.7960, 0.3108)
S (0.8059, 0.1678, 0.8370)
S (0.8059, 0.3322, 0.3370)
S (0.9179, 0.6523, 0.8581)
S (0.9179, 0.8477, 0.3581)
S (0.9264, 0.6349, 0.3626)
S (0.9264, 0.8651, 0.8626)
N (0.1966, 0.1032, 0.6675)
N (0.1966, 0.3968, 0.1675)
N (0.4214, 0.6699, 0.7234)
N (0.4214, 0.8301, 0.2234)
N (0.5786, 0.1699, 0.7766)
N (0.5786, 0.3301, 0.2766)
N (0.8034, 0.6032, 0.8325)
N (0.8034, 0.8968, 0.3325)

=====

# 8
A geometry-optimized Sr2PdN2 structure, computed with PBE.

Output
**Energy of formation**: -0.551 eV/atom

a = 7.0768 Å, b = 7.0768 Å, c = 7.0768 Å
α = 148.41°, β = 148.41°, γ = 45.28°
Element x y z (fractional)
Sr (0.1501, 0.1501, 0.0000)
Sr (0.8499, 0.8499, 0.0000)
Pd (0.5000, 0.5000, 0.0000)
N (0.3514, 0.3514, 0.0000)
N (0.6486, 0.6486, 0.0000)

=====

# 9
A geometry-optimized Zr4Pd2N structure, computed with PBE.

Output
**Energy of formation**: -0.977 eV/atom

a = 8.8839 Å, b = 8.8839 Å, c = 8.8839 Å
α = 60.00°, β = 60.00°, γ = 60.00°
Element x y z (fractional)
Zr (0.0000, 0.0000, 0.0000)
Zr (0.0000, 0.0000, 0.5000)
Zr (0.0000, 0.5000, 0.0000)
Zr (0.1944, 0.1944, 0.5556)
Zr (0.1944, 0.5556, 0.1944)
Zr (0.1944, 0.5556, 0.5556)
Zr (0.4444, 0.4444, 0.8056)
Zr (0.4444, 0.8056, 0.4444)
Zr (0.4444, 0.8056, 0.8056)
Zr (0.5000, 0.0000, 0.0000)
Zr (0.5556, 0.1944, 0.1944)
Zr (0.5556, 0.1944, 0.5556)
Zr (0.5556, 0.5556, 0.1944)
Zr (0.8056, 0.4444, 0.4444)
Zr (0.8056, 0.4444, 0.8056)
Zr (0.8056, 0.8056, 0.4444)
Pd (0.1423, 0.7859, 0.7859)
Pd (0.2141, 0.2141, 0.2141)
Pd (0.2141, 0.2141, 0.8577)
Pd (0.2141, 0.8577, 0.2141)
Pd (0.7859, 0.1423, 0.7859)
Pd (0.7859, 0.7859, 0.1423)
Pd (0.7859, 0.7859, 0.7859)
Pd (0.8577, 0.2141, 0.2141)
N (0.0000, 0.5000, 0.5000)
N (0.5000, 0.0000, 0.5000)
N (0.5000, 0.5000, 0.0000)
N (0.5000, 0.5000, 0.5000)

=====

# 10
A geometry-optimized Pr3S3N structure, computed with PBE.

Output
**Energy of formation**: -2.157 eV/atom

a = 12.2695 Å, b = 4.0861 Å, c = 13.2397 Å
α = 90.00°, β = 90.00°, γ = 90.00°
Element x y z (fractional)
Pr (0.0377, 0.2500, 0.1502)
Pr (0.0882, 0.2500, 0.6270)
Pr (0.2254, 0.2500, 0.8681)
Pr (0.2746, 0.7500, 0.3681)
Pr (0.4118, 0.7500, 0.1270)
Pr (0.4623, 0.7500, 0.6502)
Pr (0.5377, 0.2500, 0.3498)
Pr (0.5882, 0.2500, 0.8730)
Pr (0.7254, 0.2500, 0.6319)
Pr (0.7746, 0.7500, 0.1319)
Pr (0.9118, 0.7500, 0.3730)
Pr (0.9623, 0.7500, 0.8498)
S (0.0774, 0.2500, 0.3927)
S (0.1421, 0.7500, 0.9983)
S (0.2332, 0.7500, 0.7010)
S (0.2668, 0.2500, 0.2010)
S (0.3579, 0.2500, 0.4983)
S (0.4226, 0.7500, 0.8927)
S (0.5774, 0.2500, 0.1073)
S (0.6421, 0.7500, 0.5017)
S (0.7332, 0.7500, 0.7990)
S (0.7668, 0.2500, 0.2990)
S (0.8579, 0.2500, 0.0017)
S (0.9226, 0.7500, 0.6073)
N (0.0496, 0.2500, 0.7981)
N (0.4504, 0.7500, 0.2981)
N (0.5496, 0.2500, 0.7019)
N (0.9504, 0.7500, 0.2019)

=====

# 11
A geometry-optimized Pr4S3N2 structure, computed with PBE.

Output
**Energy of formation**: -2.030 eV/atom
**Distance to the lowest polymorph of the same formula**: 0.00 eV/f.u.

a = 10.3333 Å, b = 10.3333 Å, c = 12.8475 Å
α = 127.85°, β = 127.85°, γ = 57.84°
Element x y z (fractional)
Pr (0.0780, 0.6877, 0.2547)
Pr (0.1133, 0.7029, 0.8154)
Pr (0.1361, 0.2175, 0.5630)
Pr (0.2175, 0.1361, 0.0630)
Pr (0.2971, 0.8867, 0.6846)
Pr (0.3117, 0.4172, 0.4750)
Pr (0.3123, 0.9220, 0.2453)
Pr (0.4172, 0.3117, 0.9750)
Pr (0.5828, 0.6883, 0.0250)
Pr (0.6877, 0.0780, 0.7547)
Pr (0.6883, 0.5828, 0.5250)
Pr (0.7029, 0.1133, 0.3154)
Pr (0.7825, 0.8639, 0.9370)
Pr (0.8639, 0.7825, 0.4370)
Pr (0.8867, 0.2971, 0.1846)
Pr (0.9220, 0.3123, 0.7453)
S (0.0000, 0.5000, 0.5000)
S (0.0208, 0.9792, 0.7500)
S (0.1099, 0.6126, 0.9915)
S (0.3874, 0.8901, 0.5085)
S (0.3965, 0.4028, 0.7753)
S (0.4028, 0.3965, 0.2753)
S (0.5000, 0.0000, 0.0000)
S (0.5972, 0.6035, 0.7247)
S (0.6035, 0.5972, 0.2247)
S (0.6126, 0.1099, 0.4915)
S (0.8901, 0.3874, 0.0085)
S (0.9792, 0.0208, 0.2500)
N (0.1456, 0.6855, 0.4629)
N (0.1848, 0.1978, 0.2557)
N (0.1978, 0.1848, 0.7557)
N (0.3145, 0.8544, 0.0371)
N (0.6855, 0.1456, 0.9629)
N (0.8022, 0.8152, 0.2443)
N (0.8152, 0.8022, 0.7443)
N (0.8544, 0.3145, 0.5371)

=====

# 12
A geometry-optimized Pr4S3N2 structure, computed with PBE.

Output
**Energy of formation**: -2.020 eV/atom
**Distance to the lowest polymorph of the same formula**: 0.08 eV/f.u.

a = 9.9938 Å, b = 10.3333 Å, c = 10.4370 Å
α = 76.42°, β = 61.40°, γ = 61.08°
Element x y z (fractional)
Pr (0.0000, 0.0000, 0.0000)
Pr (0.0054, 0.7299, 0.7709)
Pr (0.1069, 0.2393, 0.2698)
Pr (0.2736, 0.7418, 0.2185)
Pr (0.3736, 0.2464, 0.7228)
Pr (0.3847, 0.9749, 0.4912)
Pr (0.3913, 0.4934, 0.9336)
Pr (0.4783, 0.2778, 0.3063)
Pr (0.5581, 0.7782, 0.8137)
Pr (0.5786, 0.9927, 0.0592)
Pr (0.6088, 0.5043, 0.5059)
Pr (0.7638, 0.4827, 0.9936)
Pr (0.8036, 0.9924, 0.4293)
Pr (0.8321, 0.1959, 0.6858)
Pr (0.9065, 0.7035, 0.1847)
Pr (0.9875, 0.4864, 0.5607)
S (0.0783, 0.2156, 0.7433)
S (0.0907, 0.9625, 0.4678)
S (0.0939, 0.4668, 0.9678)
S (0.1876, 0.4894, 0.2452)
S (0.2832, 0.5170, 0.5224)
S (0.2909, 0.0165, 0.0274)
S (0.3054, 0.7531, 0.7543)
S (0.5795, 0.7243, 0.2366)
S (0.6644, 0.2418, 0.0021)
S (0.6943, 0.9884, 0.7427)
S (0.7112, 0.7438, 0.4975)
S (0.8020, 0.2611, 0.2580)
N (0.0047, 0.8528, 0.2100)
N (0.3803, 0.1157, 0.2826)
N (0.4880, 0.6144, 0.0062)
N (0.5051, 0.1209, 0.5039)
N (0.5470, 0.3522, 0.7135)
N (0.8343, 0.6181, 0.7833)
N (0.8696, 0.8650, 0.9959)
N (0.8881, 0.3647, 0.4879)

=====

# 13
A geometry-optimized Pr3SiSe2N3 structure, computed with PBE.

Output
**Energy of formation**: -1.687 eV/atom

a = 11.5907 Å, b = 11.5907 Å, c = 11.5907 Å
α = 111.30°, β = 111.30°, γ = 111.30°
Element x y z (fractional)
Pr (0.0316, 0.7508, 0.8704)
Pr (0.0418, 0.8309, 0.5569)
Pr (0.1296, 0.9684, 0.2492)
Pr (0.1691, 0.4431, 0.9582)
Pr (0.2492, 0.1296, 0.9684)
Pr (0.2855, 0.6023, 0.6571)
Pr (0.3429, 0.7145, 0.3977)
Pr (0.3977, 0.3429, 0.7145)
Pr (0.4431, 0.9582, 0.1691)
Pr (0.5569, 0.0418, 0.8309)
Pr (0.6023, 0.6571, 0.2855)
Pr (0.6571, 0.2856, 0.6023)
Pr (0.7145, 0.3977, 0.3429)
Pr (0.7508, 0.8704, 0.0316)
Pr (0.8309, 0.5569, 0.0418)
Pr (0.8704, 0.0316, 0.7508)
Pr (0.9582, 0.1691, 0.4431)
Pr (0.9684, 0.2492, 0.1296)
Si (0.2112, 0.2895, 0.3907)
Si (0.2895, 0.3907, 0.2112)
Si (0.3907, 0.2112, 0.2895)
Si (0.6093, 0.7888, 0.7105)
Si (0.7105, 0.6093, 0.7888)
Si (0.7888, 0.7105, 0.6093)
Se (0.0257, 0.5592, 0.3530)
Se (0.1227, 0.1653, 0.7073)
Se (0.1653, 0.7073, 0.1227)
Se (0.2927, 0.8773, 0.8347)
Se (0.3530, 0.0257, 0.5592)
Se (0.4408, 0.6470, 0.9743)
Se (0.5592, 0.3530, 0.0257)
Se (0.6470, 0.9743, 0.4408)
Se (0.7073, 0.1227, 0.1653)
Se (0.8347, 0.2927, 0.8773)
Se (0.8773, 0.8347, 0.2927)
Se (0.9743, 0.4408, 0.6470)
N (0.0222, 0.1218, 0.2505)
N (0.1218, 0.2505, 0.0222)
N (0.2109, 0.3533, 0.5512)
N (0.2384, 0.4156, 0.3380)
N (0.2505, 0.0222, 0.1218)
N (0.3380, 0.2384, 0.4156)
N (0.3533, 0.5512, 0.2109)
N (0.4156, 0.3380, 0.2384)
N (0.4488, 0.7891, 0.6467)
N (0.5512, 0.2109, 0.3533)
N (0.5844, 0.6620, 0.7616)
N (0.6467, 0.4488, 0.7891)
N (0.6620, 0.7616, 0.5844)
N (0.7495, 0.9778, 0.8782)
N (0.7616, 0.5844, 0.6620)
N (0.7891, 0.6467, 0.4488)
N (0.8782, 0.7495, 0.9778)
N (0.9778, 0.8782, 0.7495)

=====

# 14
A geometry-optimized PrSi3N5 structure, computed with PBE.

Output
**Energy of formation**: -1.429 eV/atom

a = 4.8185 Å, b = 7.8835 Å, c = 11.3199 Å
α = 90.00°, β = 90.00°, γ = 90.00°
Element x y z (fractional)
Pr (0.0054, 0.0604, 0.1701)
Pr (0.4946, 0.9396, 0.6701)
Pr (0.5054, 0.4396, 0.8299)
Pr (0.9946, 0.5604, 0.3299)
Si (0.0143, 0.1620, 0.8394)
Si (0.0166, 0.2931, 0.5833)
Si (0.0238, 0.4669, 0.0410)
Si (0.4762, 0.5331, 0.5410)
Si (0.4834, 0.7069, 0.0833)
Si (0.4857, 0.8380, 0.3394)
Si (0.5143, 0.3380, 0.1606)
Si (0.5166, 0.2069, 0.4167)
Si (0.5238, 0.0331, 0.9590)
Si (0.9762, 0.9669, 0.4590)
Si (0.9834, 0.7931, 0.9167)
Si (0.9857, 0.6620, 0.6606)
N (0.0461, 0.3425, 0.9203)
N (0.1657, 0.2066, 0.7052)
N (0.1705, 0.3891, 0.1677)
N (0.1848, 0.9816, 0.9069)
N (0.2041, 0.6497, 0.9896)
N (0.2959, 0.3503, 0.4896)
N (0.3152, 0.0184, 0.4069)
N (0.3295, 0.6109, 0.6677)
N (0.3343, 0.7934, 0.2052)
N (0.4539, 0.6575, 0.4203)
N (0.5461, 0.1575, 0.0797)
N (0.6657, 0.2934, 0.2948)
N (0.6705, 0.1109, 0.8323)
N (0.6848, 0.5184, 0.0931)
N (0.7041, 0.8503, 0.0104)
N (0.7959, 0.1497, 0.5104)
N (0.8152, 0.4816, 0.5931)
N (0.8295, 0.8891, 0.3323)
N (0.8343, 0.7066, 0.7948)
N (0.9539, 0.8425, 0.5797)